This record from the Materials Project database describes crystalline TaVN2 at its relaxed geometry. The functional is PBE.

Lattice parameters (Å, degrees): 3.050 3.050 4.296 90.00 90.00 90.00
Atoms (fractional coordinates):
Ta1 0.000 0.000 0.000
V1 0.500 0.500 0.500
N1 0.000 0.000 0.500
N2 0.500 0.500 0.000

Results
The value obtained for the formation energy is -1.12 eV/atom. For the total DFT energy (no corrections), the calculation gives -10.343 eV per atom. As for the space group: P4/mmm (123).

This record from the Materials Project database describes crystalline Ba3Ta2S8 at its relaxed geometry. The functional is PBE.

Lattice parameters (Å, degrees): 12.156 6.939 12.749 90.00 109.19 90.00
Atoms (fractional coordinates):
Ba1 0.000 0.000 0.000
Ba2 0.095 0.000 0.365
Ba3 0.222 0.500 0.656
Ba4 0.317 0.500 0.036
Ba5 0.453 0.000 0.309
Ba6 0.547 0.000 0.691
Ba7 0.683 0.500 0.964
Ba8 0.778 0.500 0.344
Ba9 0.905 0.000 0.635
Ta1 0.230 0.000 0.828
Ta2 0.234 0.500 0.324
Ta3 0.500 0.000 0.000
Ta4 0.500 0.500 0.500
Ta5 0.766 0.500 0.676
Ta6 0.770 0.000 0.172
S1 0.080 0.500 0.396
S2 0.117 0.256 0.847
S3 0.117 0.744 0.847
S4 0.175 0.000 0.632
S5 0.187 0.248 0.199
S6 0.187 0.752 0.199
S7 0.322 0.000 0.046
S8 0.348 0.255 0.484
S9 0.348 0.745 0.484
S10 0.408 0.241 0.855
S11 0.408 0.759 0.855
S12 0.443 0.500 0.299
S13 0.557 0.500 0.701
S14 0.592 0.241 0.145
S15 0.592 0.759 0.145
S16 0.652 0.255 0.516
S17 0.652 0.745 0.516
S18 0.678 0.000 0.954
S19 0.813 0.248 0.801
S20 0.813 0.752 0.801
S21 0.825 0.000 0.368
S22 0.883 0.256 0.153
S23 0.883 0.744 0.153
S24 0.920 0.500 0.604

Results
The value obtained for the formation energy is -1.84 eV/atom. For the total DFT energy (no corrections), the calculation gives -6.348 eV per atom. As for the space group: P2/m (10).